Record 1
Sr4Pd: optimized geometry, GGA-PBE.

Results
SG: Fd-3m
E (eV per atom): -2.435
ΔH_f (0 K) (eV per atom): -0.047
Size of the total moment (Bohr magnetons per cell): 0.00

a b c (Å): 8.9404 8.9404 8.9404
angles (deg): 60.00 60.00 60.00
Fractional positions:
Sr (0.2332, 0.7556, 0.7556)
Sr (0.2444, 0.2444, 0.2444)
Sr (0.2444, 0.2444, 0.7668)
Sr (0.2444, 0.7668, 0.2444)
Sr (0.7556, 0.2332, 0.7556)
Sr (0.7556, 0.7556, 0.2332)
Sr (0.7556, 0.7556, 0.7556)
Sr (0.7668, 0.2444, 0.2444)
Pd (0.3750, 0.3750, 0.3750)
Pd (0.6250, 0.6250, 0.6250)

---

Record 2
SrPd3: optimized geometry, GGA-PBE.

Results
SG: P6_3/mmc
E (eV per atom): -4.662
ΔH_f (0 K) (eV per atom): -0.354
Size of the total moment (Bohr magnetons per cell): 0.00

a b c (Å): 6.2548 6.2548 4.7152
angles (deg): 90.00 90.00 120.00
Fractional positions:
Sr (0.3333, 0.6667, 0.2500)
Sr (0.6667, 0.3333, 0.7500)
Pd (0.1499, 0.2999, 0.7500)
Pd (0.1499, 0.8501, 0.7500)
Pd (0.2999, 0.1499, 0.2500)
Pd (0.7001, 0.8501, 0.7500)
Pd (0.8501, 0.1499, 0.2500)
Pd (0.8501, 0.7001, 0.2500)

---

Record 3
SrPd: optimized geometry, GGA-PBE.

Results
SG: Cmcm
E (eV per atom): -4.041
ΔH_f (0 K) (eV per atom): -0.607

a b c (Å): 4.2700 11.4443 4.5510
angles (deg): 90.00 90.00 90.00
Fractional positions:
Sr (0.0000, 0.1389, 0.2500)
Sr (0.0000, 0.8611, 0.7500)
Sr (0.5000, 0.3611, 0.7500)
Sr (0.5000, 0.6389, 0.2500)
Pd (0.0000, 0.4277, 0.2500)
Pd (0.0000, 0.5723, 0.7500)
Pd (0.5000, 0.0723, 0.7500)
Pd (0.5000, 0.9277, 0.2500)

---

Record 4
Sr2Pd: optimized geometry, GGA-PBE.

Results
SG: Pnma
E (eV per atom): -3.294
ΔH_f (0 K) (eV per atom): -0.441
Size of the total moment (Bohr magnetons per cell): 0.01

a b c (Å): 8.3226 4.9551 9.8200
angles (deg): 90.00 90.00 90.00
Fractional positions:
Sr (0.0211, 0.2500, 0.1630)
Sr (0.1440, 0.2500, 0.5736)
Sr (0.3560, 0.7500, 0.0736)
Sr (0.4789, 0.7500, 0.6630)
Sr (0.5211, 0.2500, 0.3370)
Sr (0.6440, 0.2500, 0.9264)
Sr (0.8560, 0.7500, 0.4264)
Sr (0.9789, 0.7500, 0.8370)
Pd (0.2466, 0.7500, 0.3896)
Pd (0.2534, 0.2500, 0.8896)
Pd (0.7466, 0.7500, 0.1104)
Pd (0.7534, 0.2500, 0.6104)

---

Record 5
SrPd5: optimized geometry, GGA-PBE.

Results
SG: P6/mmm
E (eV per atom): -4.972
ΔH_f (0 K) (eV per atom): -0.374

a b c (Å): 5.4606 5.4606 4.4644
angles (deg): 90.00 90.00 120.00
Fractional positions:
Sr (0.0000, 0.0000, 0.0000)
Pd (0.0000, 0.5000, 0.5000)
Pd (0.3333, 0.6667, 0.0000)
Pd (0.5000, 0.0000, 0.5000)
Pd (0.5000, 0.5000, 0.5000)
Pd (0.6667, 0.3333, 0.0000)

---

Record 6
Ta3Pd: optimized geometry, GGA-PBE.

Results
SG: I4/mmm
E (eV per atom): -10.225
ΔH_f (0 K) (eV per atom): -0.036
Size of the total moment (Bohr magnetons per cell): 0.00

a b c (Å): 4.0591 4.0591 8.5472
angles (deg): 90.00 90.00 90.00
Fractional positions:
Ta (0.0000, 0.0000, 0.0000)
Ta (0.0000, 0.5000, 0.2500)
Ta (0.0000, 0.5000, 0.7500)
Ta (0.5000, 0.0000, 0.2500)
Ta (0.5000, 0.0000, 0.7500)
Ta (0.5000, 0.5000, 0.5000)
Pd (0.0000, 0.0000, 0.5000)
Pd (0.5000, 0.5000, 0.0000)

---

Record 7
TaPd3: optimized geometry, GGA-PBE.

Results
SG: I4/mmm
E (eV per atom): -7.334
ΔH_f (0 K) (eV per atom): -0.485

a b c (Å): 3.9341 3.9341 8.0773
angles (deg): 90.00 90.00 90.00
Fractional positions:
Ta (0.0000, 0.0000, 0.0000)
Ta (0.5000, 0.5000, 0.5000)
Pd (0.0000, 0.0000, 0.5000)
Pd (0.0000, 0.5000, 0.2500)
Pd (0.0000, 0.5000, 0.7500)
Pd (0.5000, 0.0000, 0.2500)
Pd (0.5000, 0.0000, 0.7500)
Pd (0.5000, 0.5000, 0.0000)

---

Record 8
TaPd2: optimized geometry, GGA-PBE.

Results
SG: Immm
E (eV per atom): -7.869
ΔH_f (0 K) (eV per atom): -0.463

a b c (Å): 2.9104 3.8687 8.5113
angles (deg): 90.00 90.00 90.00
Fractional positions:
Ta (0.0000, 0.0000, 0.0000)
Ta (0.5000, 0.5000, 0.5000)
Pd (0.0000, 0.0000, 0.3353)
Pd (0.0000, 0.0000, 0.6647)
Pd (0.5000, 0.5000, 0.1647)
Pd (0.5000, 0.5000, 0.8353)

---

Record 9
TaPd3: optimized geometry, GGA-PBE.

Results
SG: P6_3/mmc
E (eV per atom): -7.265
ΔH_f (0 K) (eV per atom): -0.416
Size of the total moment (Bohr magnetons per cell): 0.00

a b c (Å): 5.5699 5.5699 23.4128
angles (deg): 90.00 90.00 120.00
Fractional positions:
Ta (0.0000, 0.0000, 0.2500)
Ta (0.0000, 0.0000, 0.7500)
Ta (0.3333, 0.6667, 0.0437)
Ta (0.3333, 0.6667, 0.4563)
Ta (0.3333, 0.6667, 0.6512)
Ta (0.3333, 0.6667, 0.8488)
Ta (0.6667, 0.3333, 0.1512)
Ta (0.6667, 0.3333, 0.3488)
Ta (0.6667, 0.3333, 0.5437)
Ta (0.6667, 0.3333, 0.9563)
Pd (0.0021, 0.5011, 0.7500)
Pd (0.1668, 0.3336, 0.1510)
Pd (0.1668, 0.3336, 0.3490)
Pd (0.1668, 0.8332, 0.1510)
Pd (0.1668, 0.8332, 0.3490)
Pd (0.1682, 0.3364, 0.5525)
Pd (0.1682, 0.3364, 0.9475)
Pd (0.1682, 0.8318, 0.5525)
Pd (0.1682, 0.8318, 0.9475)
Pd (0.3336, 0.1668, 0.6510)
Pd (0.3336, 0.1668, 0.8490)
Pd (0.3364, 0.1682, 0.0525)
Pd (0.3364, 0.1682, 0.4475)
Pd (0.4989, 0.5011, 0.7500)
Pd (0.4989, 0.9979, 0.7500)
Pd (0.5011, 0.0021, 0.2500)
Pd (0.5011, 0.4989, 0.2500)
Pd (0.6636, 0.8318, 0.5525)
Pd (0.6636, 0.8318, 0.9475)
Pd (0.6664, 0.8332, 0.1510)
Pd (0.6664, 0.8332, 0.3490)
Pd (0.8318, 0.1682, 0.0525)
Pd (0.8318, 0.1682, 0.4475)
Pd (0.8318, 0.6636, 0.0525)
Pd (0.8318, 0.6636, 0.4475)
Pd (0.8332, 0.1668, 0.6510)
Pd (0.8332, 0.1668, 0.8490)
Pd (0.8332, 0.6664, 0.6510)
Pd (0.8332, 0.6664, 0.8490)
Pd (0.9979, 0.4989, 0.2500)

---

Record 10
Ta4Te16Pd3: optimized geometry, GGA-PBE.

Results
SG: C2/m
E (eV per atom): -5.263
ΔH_f (0 K) (eV per atom): -0.338
Size of the total moment (Bohr magnetons per cell): 0.00

a b c (Å): 11.1112 11.1112 18.1078
angles (deg): 118.64 118.64 19.63
Fractional positions:
Ta (0.0828, 0.0828, 0.3489)
Ta (0.2082, 0.2082, 0.0829)
Ta (0.7918, 0.7918, 0.9171)
Ta (0.9172, 0.9172, 0.6511)
Te (0.0385, 0.0385, 0.6212)
Te (0.0772, 0.0772, 0.1845)
Te (0.1924, 0.1924, 0.9116)
Te (0.2747, 0.2747, 0.2519)
Te (0.3138, 0.3138, 0.6350)
Te (0.3790, 0.3790, 0.5183)
Te (0.3985, 0.3985, 0.9821)
Te (0.4825, 0.4825, 0.2348)
Te (0.5175, 0.5175, 0.7652)
Te (0.6015, 0.6015, 0.0179)
Te (0.6210, 0.6210, 0.4817)
Te (0.6862, 0.6862, 0.3650)
Te (0.7253, 0.7253, 0.7481)
Te (0.8076, 0.8076, 0.0884)
Te (0.9228, 0.9228, 0.8155)
Te (0.9615, 0.9615, 0.3788)
Pd (0.3290, 0.3290, 0.8076)
Pd (0.5000, 0.5000, 0.5000)
Pd (0.6710, 0.6710, 0.1924)

---

Record 11
Ta3Te14Pd3: optimized geometry, GGA-PBE.

Results
SG: P2_1/m
E (eV per atom): -5.090
ΔH_f (0 K) (eV per atom): -0.335

a b c (Å): 14.8246 3.7957 21.2610
angles (deg): 90.00 106.13 90.00
Fractional positions:
Ta (0.0539, 0.2500, 0.3104)
Ta (0.3002, 0.7500, 0.0440)
Ta (0.4240, 0.2500, 0.6554)
Ta (0.5760, 0.7500, 0.3446)
Ta (0.6998, 0.2500, 0.9560)
Ta (0.9461, 0.7500, 0.6896)
Te (0.0544, 0.2500, 0.6395)
Te (0.0539, 0.7500, 0.2094)
Te (0.1109, 0.7500, 0.9529)
Te (0.1136, 0.2500, 0.4531)
Te (0.1397, 0.7500, 0.7764)
Te (0.1869, 0.2500, 0.0899)
Te (0.2048, 0.7500, 0.3462)
Te (0.2771, 0.7500, 0.6129)
Te (0.3134, 0.2500, 0.9466)
Te (0.3418, 0.7500, 0.1862)
Te (0.3831, 0.2500, 0.7702)
Te (0.3882, 0.2500, 0.5129)
Te (0.4403, 0.2500, 0.3475)
Te (0.4494, 0.2500, 0.0874)
Te (0.5506, 0.7500, 0.9126)
Te (0.5597, 0.7500, 0.6525)
Te (0.6118, 0.7500, 0.4871)
Te (0.6169, 0.7500, 0.2298)
Te (0.6582, 0.2500, 0.8138)
Te (0.6866, 0.7500, 0.0534)
Te (0.7229, 0.2500, 0.3871)
Te (0.7952, 0.2500, 0.6538)
Te (0.8131, 0.7500, 0.9101)
Te (0.8603, 0.2500, 0.2236)
Te (0.8864, 0.7500, 0.5469)
Te (0.8891, 0.2500, 0.0471)
Te (0.9461, 0.2500, 0.7906)
Te (0.9456, 0.7500, 0.3605)
Pd (0.1290, 0.2500, 0.8653)
Pd (0.2511, 0.7500, 0.4811)
Pd (0.4811, 0.2500, 0.2274)
Pd (0.5189, 0.7500, 0.7726)
Pd (0.7489, 0.2500, 0.5189)
Pd (0.8710, 0.7500, 0.1347)

---

Record 12
TbPd3: optimized geometry, GGA-PBE.

Results
SG: Pm-3m
E (eV per atom): -5.927
ΔH_f (0 K) (eV per atom): -0.884

a b c (Å): 4.1390 4.1390 4.1390
angles (deg): 90.00 90.00 90.00
Fractional positions:
Tb (0.0000, 0.0000, 0.0000)
Pd (0.0000, 0.5000, 0.5000)
Pd (0.5000, 0.0000, 0.5000)
Pd (0.5000, 0.5000, 0.0000)

---

Record 13
Tb3Pd4: optimized geometry, GGA-PBE.

Results
SG: R-3
E (eV per atom): -5.872
ΔH_f (0 K) (eV per atom): -0.926

a b c (Å): 7.9233 7.9233 7.9233
angles (deg): 114.36 114.36 114.36
Fractional positions:
Tb (0.0259, 0.4035, 0.2795)
Tb (0.2795, 0.0259, 0.4035)
Tb (0.4035, 0.2795, 0.0259)
Tb (0.5965, 0.7205, 0.9741)
Tb (0.7205, 0.9741, 0.5965)
Tb (0.9741, 0.5965, 0.7205)
Pd (0.0000, 0.0000, 0.0000)
Pd (0.0609, 0.2246, 0.5517)
Pd (0.2246, 0.5517, 0.0609)
Pd (0.4483, 0.9391, 0.7754)
Pd (0.5000, 0.5000, 0.5000)
Pd (0.5517, 0.0609, 0.2246)
Pd (0.7754, 0.4483, 0.9391)
Pd (0.9391, 0.7754, 0.4483)

---

Record 14
Te7Pd20: optimized geometry, GGA-PBE.

Results
SG: R-3
E (eV per atom): -4.948
ΔH_f (0 K) (eV per atom): -0.296

a b c (Å): 7.9142 7.9142 7.9142
angles (deg): 98.98 98.98 98.98
Fractional positions:
Te (0.0000, 0.0000, 0.0000)
Te (0.1212, 0.2757, 0.5457)
Te (0.2757, 0.5457, 0.1212)
Te (0.4543, 0.8788, 0.7243)
Te (0.5457, 0.1212, 0.2757)
Te (0.7243, 0.4543, 0.8788)
Te (0.8788, 0.7243, 0.4543)
Pd (0.0087, 0.3342, 0.2230)
Pd (0.0122, 0.3133, 0.8553)
Pd (0.1447, 0.9878, 0.6867)
Pd (0.2178, 0.6777, 0.4637)
Pd (0.2230, 0.0087, 0.3342)
Pd (0.3133, 0.8553, 0.0122)
Pd (0.3223, 0.5363, 0.7822)
Pd (0.3342, 0.2230, 0.0087)
Pd (0.3798, 0.3798, 0.3798)
Pd (0.4637, 0.2178, 0.6777)
Pd (0.5363, 0.7822, 0.3223)
Pd (0.6202, 0.6202, 0.6202)
Pd (0.6658, 0.7770, 0.9913)
Pd (0.6777, 0.4637, 0.2178)
Pd (0.6867, 0.1447, 0.9878)
Pd (0.7770, 0.9913, 0.6658)
Pd (0.7822, 0.3223, 0.5363)
Pd (0.8553, 0.0122, 0.3133)
Pd (0.9878, 0.6867, 0.1447)
Pd (0.9913, 0.6658, 0.7770)

---

Record 15
Te3Pd5: optimized geometry, GGA-PBE.

Results
SG: Fd-3m
E (eV per atom): -4.294
ΔH_f (0 K) (eV per atom): 0.122
Size of the total moment (Bohr magnetons per cell): 0.00

a b c (Å): 8.4493 8.4493 8.4493
angles (deg): 60.00 60.00 60.00
Fractional positions:
Te (0.0000, 0.0000, 0.0000)
Te (0.0000, 0.0000, 0.5000)
Te (0.0000, 0.5000, 0.0000)
Te (0.3750, 0.3750, 0.3750)
Te (0.5000, 0.0000, 0.0000)
Te (0.6250, 0.6250, 0.6250)
Pd (0.1250, 0.1250, 0.1250)
Pd (0.2505, 0.2505, 0.2505)
Pd (0.2505, 0.2505, 0.7486)
Pd (0.2505, 0.7486, 0.2505)
Pd (0.2514, 0.7495, 0.7495)
Pd (0.7486, 0.2505, 0.2505)
Pd (0.7495, 0.2514, 0.7495)
Pd (0.7495, 0.7495, 0.2514)
Pd (0.7495, 0.7495, 0.7495)
Pd (0.8750, 0.8750, 0.8750)

---

Record 16
Te4Pd9: optimized geometry, GGA-PBE.

Results
SG: P2_1/c
E (eV per atom): -4.877
ΔH_f (0 K) (eV per atom): -0.324

a b c (Å): 7.5632 14.1890 9.0386
angles (deg): 90.00 91.63 90.00
Fractional positions:
Te (0.0389, 0.2482, 0.0678)
Te (0.0389, 0.2518, 0.5678)
Te (0.2031, 0.0050, 0.8883)
Te (0.2031, 0.4950, 0.3883)
Te (0.2538, 0.5040, 0.8530)
Te (0.2538, 0.9960, 0.3530)
Te (0.4520, 0.7374, 0.1418)
Te (0.4520, 0.7626, 0.6418)
Te (0.5480, 0.2374, 0.3582)
Te (0.5480, 0.2626, 0.8582)
Te (0.7462, 0.0040, 0.6470)
Te (0.7462, 0.4960, 0.1470)
Te (0.7969, 0.5050, 0.6117)
Te (0.7969, 0.9950, 0.1117)
Te (0.9611, 0.7482, 0.4322)
Te (0.9611, 0.7518, 0.9322)
Pd (0.9997, 0.1319, 0.3081)
Pd (0.9997, 0.3681, 0.8081)
Pd (0.0003, 0.6319, 0.1919)
Pd (0.0003, 0.8681, 0.6919)
Pd (0.0852, 0.0646, 0.6063)
Pd (0.0852, 0.4354, 0.1063)
Pd (0.1554, 0.6699, 0.7017)
Pd (0.1554, 0.8301, 0.2017)
Pd (0.2238, 0.1941, 0.8257)
Pd (0.2238, 0.3059, 0.3257)
Pd (0.2934, 0.6782, 0.3951)
Pd (0.2934, 0.8218, 0.8951)
Pd (0.3308, 0.1399, 0.1388)
Pd (0.3308, 0.3601, 0.6388)
Pd (0.3898, 0.5480, 0.1430)
Pd (0.3898, 0.9520, 0.6430)
Pd (0.4608, 0.5625, 0.6118)
Pd (0.4608, 0.9375, 0.1118)
Pd (0.4839, 0.1505, 0.6082)
Pd (0.4839, 0.3495, 0.1082)
Pd (0.5161, 0.6505, 0.8918)
Pd (0.5161, 0.8495, 0.3918)
Pd (0.5392, 0.0625, 0.8882)
Pd (0.5392, 0.4375, 0.3882)
Pd (0.6102, 0.0480, 0.3570)
Pd (0.6102, 0.4520, 0.8570)
Pd (0.6692, 0.6399, 0.3612)
Pd (0.6692, 0.8601, 0.8612)
Pd (0.7066, 0.1782, 0.1049)
Pd (0.7066, 0.3218, 0.6049)
Pd (0.7762, 0.6941, 0.6743)
Pd (0.7762, 0.8059, 0.1743)
Pd (0.8446, 0.1699, 0.7983)
Pd (0.8446, 0.3301, 0.2983)
Pd (0.9148, 0.5646, 0.8937)
Pd (0.9148, 0.9354, 0.3937)

---

Record 17
TePd4: optimized geometry, GGA-PBE.

Results
SG: F-43m
E (eV per atom): -4.785
ΔH_f (0 K) (eV per atom): -0.013
Size of the total moment (Bohr magnetons per cell): 0.16

a b c (Å): 8.8444 8.8444 8.8444
angles (deg): 60.00 60.00 60.00
Fractional positions:
Te (0.0000, 0.0000, 0.0000)
Te (0.3780, 0.3780, 0.3780)
Te (0.3780, 0.3780, 0.8661)
Te (0.3780, 0.8661, 0.3780)
Te (0.8661, 0.3780, 0.3780)
Pd (0.0122, 0.0122, 0.4878)
Pd (0.0122, 0.4878, 0.0122)
Pd (0.0122, 0.4878, 0.4878)
Pd (0.1160, 0.1160, 0.1160)
Pd (0.1160, 0.1160, 0.6521)
Pd (0.1160, 0.6521, 0.1160)
Pd (0.2600, 0.2600, 0.7400)
Pd (0.2600, 0.7400, 0.2600)
Pd (0.2600, 0.7400, 0.7400)
Pd (0.4878, 0.0122, 0.0122)
Pd (0.4878, 0.0122, 0.4878)
Pd (0.4878, 0.4878, 0.0122)
Pd (0.6521, 0.1160, 0.1160)
Pd (0.6699, 0.6699, 0.6699)
Pd (0.6699, 0.6699, 0.9902)
Pd (0.6699, 0.9902, 0.6699)
Pd (0.7400, 0.2600, 0.2600)
Pd (0.7400, 0.2600, 0.7400)
Pd (0.7400, 0.7400, 0.2600)
Pd (0.9902, 0.6699, 0.6699)